First-principles (PBE with a Hubbard U) data for crystalline Mo2P3O12 at its relaxed geometry, as listed in the Materials Project database.

DFT formation energy = -2.4156 eV per atom
offset from the most stable computed form = 30.0 meV/atom

Cell lengths 8.8334, 8.8334, 8.8334 Å; angles 60.04, 60.04, 60.04 degrees
Fractional coordinates of all 34 atoms:
Mo (0.8916, 0.8916, 0.8916)
Mo (0.1084, 0.1084, 0.1084)
Mo (0.6115, 0.6115, 0.6115)
Mo (0.3885, 0.3885, 0.3885)
P (0.5000, 0.2114, 0.7886)
P (0.2114, 0.7886, 0.5000)
P (0.7121, 0.0000, 0.2879)
P (0.7886, 0.5000, 0.2114)
P (0.0000, 0.2879, 0.7121)
P (0.2879, 0.7121, 0.0000)
O (0.4687, 0.6962, 0.8359)
O (0.2388, 0.6280, 0.4602)
O (0.0300, 0.8204, 0.6655)
O (0.9548, 0.1220, 0.7511)
O (0.3345, 0.1796, 0.9700)
O (0.1796, 0.9700, 0.3345)
O (0.5398, 0.3720, 0.7612)
O (0.8780, 0.0452, 0.2489)
O (0.3038, 0.5313, 0.1641)
O (0.7511, 0.9548, 0.1220)
O (0.3720, 0.7612, 0.5398)
O (0.6962, 0.8359, 0.4687)
O (0.0452, 0.2489, 0.8780)
O (0.7612, 0.5398, 0.3720)
O (0.1220, 0.7511, 0.9548)
O (0.5313, 0.1641, 0.3038)
O (0.8359, 0.4687, 0.6962)
O (0.8204, 0.6655, 0.0300)
O (0.6655, 0.0300, 0.8204)
O (0.6280, 0.4602, 0.2388)
O (0.1641, 0.3038, 0.5313)
O (0.2489, 0.8780, 0.0452)
O (0.9700, 0.3345, 0.1796)
O (0.4602, 0.2388, 0.6280)